No. 1
{"formula": "LiVP4O12", "functional": "PBE with a Hubbard U", "state": "optimized geometry", "delta_e_f_ev_per_fu": -46.8, "total_magnetization_mub_per_fu": 2.000, "rho_g_cm3": 2.49, "final_energy_ev_per_atom": -7.1612, "cell": [[4.347, -5.295, 5.260], [5.912, 2.660, 5.707], [-2.705, 0.037, 8.813]], "species": ["Li", "Li", "V", "V", "P", "P", "P", "P", "P", "P", "P", "P", "O", "O", "O", "O", "O", "O", "O", "O", "O", "O", "O", "O", "O", "O", "O", "O", "O", "O", "O", "O", "O", "O", "O", "O"], "fractional_positions": [[0.000, 0.000, 0.500], [0.000, 0.000, 0.000], [0.333, 0.667, 0.750], [0.667, 0.333, 0.250], [0.304, 0.414, 0.140], [0.656, 0.048, 0.107], [0.952, 0.344, 0.393], [0.586, 0.696, 0.360], [0.414, 0.304, 0.640], [0.048, 0.656, 0.607], [0.344, 0.952, 0.893], [0.696, 0.586, 0.860], [0.725, 0.086, 0.210], [0.218, 0.570, 0.998], [0.137, 0.381, 0.293], [0.439, 0.211, 0.092], [0.589, 0.550, 0.796], [0.789, 0.561, 0.408], [0.619, 0.863, 0.207], [0.982, 0.206, 0.557], [0.430, 0.782, 0.502], [0.794, 0.018, 0.943], [0.914, 0.275, 0.290], [0.450, 0.411, 0.704], [0.550, 0.589, 0.296], [0.086, 0.725, 0.710], [0.206, 0.982, 0.057], [0.570, 0.218, 0.498], [0.018, 0.794, 0.443], [0.381, 0.137, 0.793], [0.211, 0.439, 0.592], [0.411, 0.450, 0.204], [0.561, 0.789, 0.908], [0.863, 0.619, 0.707], [0.782, 0.430, 0.002], [0.275, 0.914, 0.790]]}

***

No. 2
{"formula": "LiVP4O12", "functional": "PBE with a Hubbard U", "state": "optimized geometry", "delta_e_f_ev_per_fu": -46.7, "total_magnetization_mub_per_fu": 2.000, "rho_g_cm3": 2.54, "final_energy_ev_per_atom": -7.1558, "cell": [[-4.681, 1.123, 5.887], [3.131, -6.687, 1.819], [12.597, 8.199, 8.453]], "species": ["Li", "Li", "Li", "Li", "V", "V", "V", "V", "P", "P", "P", "P", "P", "P", "P", "P", "P", "P", "P", "P", "P", "P", "P", "P", "O", "O", "O", "O", "O", "O", "O", "O", "O", "O", "O", "O", "O", "O", "O", "O", "O", "O", "O", "O", "O", "O", "O", "O", "O", "O", "O", "O", "O", "O", "O", "O", "O", "O", "O", "O", "O", "O", "O", "O", "O", "O", "O", "O", "O", "O", "O", "O"], "fractional_positions": [[0.197, 0.097, 0.638], [0.903, 0.803, 0.862], [0.803, 0.903, 0.138], [0.097, 0.197, 0.362], [0.580, 0.972, 0.872], [0.028, 0.420, 0.628], [0.420, 0.028, 0.372], [0.972, 0.580, 0.128], [0.038, 0.758, 0.342], [0.242, 0.962, 0.158], [0.310, 0.781, 0.014], [0.219, 0.690, 0.486], [0.376, 0.624, 0.750], [0.253, 0.336, 0.190], [0.664, 0.747, 0.310], [0.354, 0.354, 0.500], [0.646, 0.646, 0.000], [0.336, 0.253, 0.810], [0.747, 0.664, 0.690], [0.624, 0.376, 0.250], [0.781, 0.310, 0.986], [0.690, 0.219, 0.514], [0.758, 0.038, 0.658], [0.962, 0.242, 0.842], [0.146, 0.949, 0.354], [0.051, 0.854, 0.146], [0.345, 0.957, 0.230], [0.043, 0.655, 0.270], [0.319, 0.880, 0.480], [0.120, 0.681, 0.020], [0.091, 0.636, 0.413], [0.364, 0.909, 0.087], [0.110, 0.637, 0.558], [0.363, 0.890, 0.942], [0.415, 0.794, 0.797], [0.206, 0.585, 0.703], [0.517, 0.807, 0.354], [0.193, 0.483, 0.146], [0.360, 0.557, 0.477], [0.443, 0.640, 0.023], [0.780, 0.837, 0.633], [0.163, 0.220, 0.867], [0.531, 0.610, 0.688], [0.390, 0.469, 0.812], [0.693, 0.763, 0.929], [0.237, 0.307, 0.571], [0.181, 0.291, 0.269], [0.709, 0.819, 0.231], [0.291, 0.181, 0.731], [0.819, 0.709, 0.769], [0.307, 0.237, 0.429], [0.763, 0.693, 0.071], [0.610, 0.531, 0.312], [0.469, 0.390, 0.188], [0.220, 0.163, 0.133], [0.837, 0.780, 0.367], [0.640, 0.443, 0.977], [0.557, 0.360, 0.523], [0.807, 0.517, 0.646], [0.483, 0.193, 0.854], [0.794, 0.415, 0.203], [0.585, 0.206, 0.297], [0.637, 0.110, 0.442], [0.890, 0.363, 0.058], [0.636, 0.091, 0.587], [0.909, 0.364, 0.913], [0.681, 0.120, 0.980], [0.880, 0.319, 0.520], [0.655, 0.043, 0.730], [0.957, 0.345, 0.770], [0.949, 0.146, 0.646], [0.854, 0.051, 0.854]]}

***

No. 3
{"formula": "Li2VP4O12", "functional": "PBE with a Hubbard U", "state": "optimized geometry", "delta_e_f_ev_per_fu": -50.2, "total_magnetization_mub_per_fu": 2.999, "rho_g_cm3": 2.50, "final_energy_ev_per_atom": -7.0628, "cell": [[-8.227, -2.598, 0.257], [-2.272, -5.432, -6.312], [3.036, -6.313, 3.108]], "species": ["Li", "Li", "Li", "Li", "V", "V", "P", "P", "P", "P", "P", "P", "P", "P", "O", "O", "O", "O", "O", "O", "O", "O", "O", "O", "O", "O", "O", "O", "O", "O", "O", "O", "O", "O", "O", "O", "O", "O"], "fractional_positions": [[0.499, 0.816, 0.756], [0.184, 0.501, 0.256], [0.816, 0.499, 0.744], [0.501, 0.184, 0.244], [0.130, 0.130, 0.750], [0.870, 0.870, 0.250], [0.063, 0.792, 0.673], [0.208, 0.937, 0.173], [0.224, 0.428, 0.876], [0.572, 0.776, 0.376], [0.428, 0.224, 0.624], [0.776, 0.572, 0.124], [0.792, 0.063, 0.827], [0.937, 0.208, 0.327], [0.168, 0.894, 0.667], [0.019, 0.727, 0.510], [0.106, 0.832, 0.167], [0.273, 0.981, 0.010], [0.166, 0.632, 0.839], [0.368, 0.834, 0.339], [0.076, 0.386, 0.811], [0.614, 0.924, 0.311], [0.633, 0.691, 0.569], [0.368, 0.368, 0.750], [0.889, 0.889, 0.750], [0.691, 0.633, 0.931], [0.309, 0.367, 0.069], [0.111, 0.111, 0.250], [0.632, 0.632, 0.250], [0.367, 0.309, 0.431], [0.386, 0.076, 0.689], [0.924, 0.614, 0.189], [0.632, 0.166, 0.661], [0.834, 0.368, 0.161], [0.727, 0.019, 0.990], [0.894, 0.168, 0.833], [0.981, 0.273, 0.490], [0.832, 0.106, 0.333]]}

***

No. 4
{"formula": "Li8V3P8O29", "functional": "PBE with a Hubbard U", "state": "optimized geometry", "delta_e_f_ev_per_fu": -130.3, "total_magnetization_mub_per_fu": 5.000, "rho_g_cm3": 2.59, "final_energy_ev_per_atom": -6.9708, "cell": [[5.507, -7.872, 2.426], [-0.834, -4.055, 9.009], [-9.897, -8.530, -4.745]], "species": ["Li", "Li", "Li", "Li", "Li", "Li", "Li", "Li", "Li", "Li", "Li", "Li", "Li", "Li", "Li", "Li", "V", "V", "V", "V", "V", "V", "P", "P", "P", "P", "P", "P", "P", "P", "P", "P", "P", "P", "P", "P", "P", "P", "O", "O", "O", "O", "O", "O", "O", "O", "O", "O", "O", "O", "O", "O", "O", "O", "O", "O", "O", "O", "O", "O", "O", "O", "O", "O", "O", "O", "O", "O", "O", "O", "O", "O", "O", "O", "O", "O", "O", "O", "O", "O", "O", "O", "O", "O", "O", "O", "O", "O", "O", "O", "O", "O", "O", "O", "O", "O"], "fractional_positions": [[0.909, 0.763, 0.065], [0.766, 0.897, 0.567], [0.909, 0.328, 0.566], [0.671, 0.669, 0.382], [0.671, 0.660, 0.882], [0.767, 0.337, 0.067], [0.323, 0.907, 0.062], [0.323, 0.771, 0.562], [0.227, 0.681, 0.934], [0.350, 0.332, 0.616], [0.350, 0.318, 0.115], [0.092, 0.676, 0.436], [0.227, 0.092, 0.434], [0.092, 0.232, 0.935], [0.905, 0.022, 0.981], [0.905, 0.072, 0.482], [0.565, 0.431, 0.254], [0.438, 0.564, 0.749], [0.565, 0.004, 0.753], [0.438, 0.998, 0.249], [0.000, 0.565, 0.247], [0.000, 0.435, 0.747], [0.907, 0.774, 0.843], [0.772, 0.910, 0.349], [0.907, 0.319, 0.343], [0.666, 0.661, 0.124], [0.666, 0.672, 0.624], [0.772, 0.317, 0.849], [0.694, 0.219, 0.664], [0.318, 0.912, 0.841], [0.694, 0.087, 0.164], [0.318, 0.770, 0.341], [0.233, 0.678, 0.154], [0.330, 0.337, 0.375], [0.330, 0.334, 0.875], [0.093, 0.679, 0.656], [0.233, 0.089, 0.654], [0.093, 0.229, 0.156], [0.998, 0.761, 0.569], [0.922, 0.751, 0.338], [0.803, 0.985, 0.085], [0.745, 0.920, 0.840], [0.891, 0.628, 0.834], [0.815, 0.665, 0.157], [0.890, 0.481, 0.335], [0.998, 0.241, 0.069], [0.922, 0.327, 0.838], [0.669, 0.817, 0.672], [0.630, 0.889, 0.333], [0.815, 0.520, 0.657], [0.664, 0.646, 0.016], [0.664, 0.690, 0.517], [0.669, 0.514, 0.172], [0.485, 0.889, 0.830], [0.517, 0.810, 0.161], [0.745, 0.334, 0.341], [0.777, 0.202, 0.766], [0.803, 0.212, 0.586], [0.774, 0.240, 0.943], [0.630, 0.481, 0.833], [0.517, 0.673, 0.661], [0.670, 0.253, 0.158], [0.484, 0.626, 0.330], [0.329, 0.919, 0.341], [0.777, 0.021, 0.266], [0.774, 0.986, 0.443], [0.241, 0.997, 0.565], [0.670, 0.077, 0.658], [0.532, 0.368, 0.667], [0.329, 0.752, 0.841], [0.474, 0.341, 0.325], [0.379, 0.515, 0.167], [0.242, 0.762, 0.065], [0.233, 0.762, 0.430], [0.218, 0.781, 0.248], [0.253, 0.669, 0.656], [0.474, 0.185, 0.824], [0.532, 0.100, 0.167], [0.331, 0.482, 0.838], [0.339, 0.320, 0.982], [0.340, 0.341, 0.482], [0.183, 0.485, 0.338], [0.379, 0.106, 0.666], [0.331, 0.187, 0.339], [0.086, 0.664, 0.153], [0.002, 0.782, 0.750], [0.994, 0.779, 0.931], [0.119, 0.513, 0.670], [0.183, 0.332, 0.838], [0.119, 0.369, 0.170], [0.253, 0.079, 0.156], [0.233, 0.005, 0.930], [0.218, 0.001, 0.748], [0.086, 0.250, 0.653], [0.994, 0.227, 0.432], [0.003, 0.215, 0.250]]}

***

No. 5
{"formula": "Li2V3P3O12", "functional": "PBE with a Hubbard U", "state": "optimized geometry", "delta_e_f_ev_per_fu": -52.0, "total_magnetization_mub_per_fu": 8.000, "rho_g_cm3": 3.16, "final_energy_ev_per_atom": -7.2695, "cell": [[3.459, -7.784, -1.013], [5.965, -0.824, -6.108], [8.049, -0.994, 2.602]], "species": ["Li", "Li", "Li", "Li", "V", "V", "V", "V", "V", "V", "P", "P", "P", "P", "P", "P", "O", "O", "O", "O", "O", "O", "O", "O", "O", "O", "O", "O", "O", "O", "O", "O", "O", "O", "O", "O", "O", "O", "O", "O"], "fractional_positions": [[0.360, 0.640, 0.500], [0.655, 0.345, 0.000], [0.251, 0.151, 0.601], [0.849, 0.749, 0.399], [0.501, 0.002, 0.243], [0.144, 0.648, 0.892], [0.652, 0.149, 0.397], [0.998, 0.499, 0.757], [0.352, 0.856, 0.108], [0.851, 0.348, 0.603], [0.753, 0.561, 0.188], [0.439, 0.247, 0.812], [0.059, 0.941, 0.500], [0.956, 0.044, 0.000], [0.542, 0.748, 0.698], [0.252, 0.458, 0.302], [0.595, 0.307, 0.788], [0.034, 0.094, 0.562], [0.812, 0.534, 0.346], [0.590, 0.748, 0.179], [0.693, 0.405, 0.212], [0.909, 0.582, 0.997], [0.418, 0.091, 0.003], [0.252, 0.410, 0.821], [0.106, 0.000, 0.076], [0.086, 0.743, 0.651], [0.760, 0.064, 0.150], [0.482, 0.811, 0.862], [0.466, 0.188, 0.654], [0.257, 0.914, 0.349], [0.936, 0.240, 0.850], [0.906, 0.966, 0.438], [0.736, 0.598, 0.687], [0.569, 0.902, 0.504], [0.098, 0.431, 0.496], [0.319, 0.605, 0.287], [0.402, 0.264, 0.313], [0.189, 0.518, 0.138], [0.000, 0.894, 0.924], [0.395, 0.681, 0.713]]}

***

No. 6
{"formula": "Li5V3P8O29", "functional": "PBE with a Hubbard U", "state": "optimized geometry", "delta_e_f_ev_per_fu": -117.7, "total_magnetization_mub_per_fu": 2.000, "rho_g_cm3": 2.56, "final_energy_ev_per_atom": -7.0293, "cell": [[9.798, 0.000, 0.000], [-4.864, 8.511, 0.000], [-0.005, -0.046, 14.015]], "species": ["Li", "Li", "Li", "Li", "Li", "Li", "Li", "Li", "Li", "Li", "V", "V", "V", "V", "V", "V", "P", "P", "P", "P", "P", "P", "P", "P", "P", "P", "P", "P", "P", "P", "P", "P", "O", "O", "O", "O", "O", "O", "O", "O", "O", "O", "O", "O", "O", "O", "O", "O", "O", "O", "O", "O", "O", "O", "O", "O", "O", "O", "O", "O", "O", "O", "O", "O", "O", "O", "O", "O", "O", "O", "O", "O", "O", "O", "O", "O", "O", "O", "O", "O", "O", "O", "O", "O", "O", "O", "O", "O", "O", "O"], "fractional_positions": [[0.675, 0.770, 0.438], [0.227, 0.914, 0.438], [0.094, 0.766, 0.944], [0.231, 0.334, 0.942], [0.909, 0.684, 0.556], [0.096, 0.324, 0.439], [0.664, 0.336, 0.889], [0.772, 0.093, 0.560], [0.325, 0.092, 0.063], [0.933, 0.971, 0.001], [0.006, 0.569, 0.750], [0.999, 0.430, 0.246], [0.568, 0.565, 0.245], [0.435, 0.433, 0.748], [0.570, 0.997, 0.752], [0.434, 0.999, 0.251], [0.688, 0.914, 0.159], [0.680, 0.766, 0.658], [0.233, 0.914, 0.658], [0.335, 0.665, 0.872], [0.334, 0.665, 0.370], [0.088, 0.772, 0.157], [0.913, 0.681, 0.339], [0.229, 0.314, 0.158], [0.778, 0.689, 0.843], [0.087, 0.315, 0.656], [0.913, 0.225, 0.840], [0.672, 0.335, 0.629], [0.664, 0.329, 0.128], [0.769, 0.088, 0.342], [0.317, 0.232, 0.342], [0.316, 0.089, 0.843], [0.753, 0.000, 0.433], [0.669, 0.918, 0.661], [0.796, 0.790, 0.926], [0.655, 0.741, 0.169], [0.534, 0.915, 0.168], [0.479, 0.808, 0.829], [0.385, 0.908, 0.680], [0.232, 0.997, 0.930], [0.257, 0.918, 0.165], [0.486, 0.668, 0.328], [0.519, 0.622, 0.676], [0.329, 0.813, 0.330], [0.313, 0.657, 0.977], [0.341, 0.671, 0.477], [0.183, 0.668, 0.827], [0.383, 0.474, 0.172], [0.331, 0.512, 0.832], [0.085, 0.744, 0.663], [0.999, 0.792, 0.249], [0.000, 0.759, 0.429], [0.013, 0.785, 0.067], [0.093, 0.621, 0.171], [0.186, 0.513, 0.332], [0.922, 0.659, 0.839], [0.093, 0.474, 0.681], [0.252, 0.339, 0.661], [0.796, 0.784, 0.745], [0.754, 0.753, 0.566], [0.232, 0.242, 0.427], [0.745, 0.660, 0.339], [0.905, 0.522, 0.322], [0.088, 0.342, 0.164], [0.822, 0.487, 0.675], [0.902, 0.378, 0.830], [0.005, 0.220, 0.923], [0.998, 0.249, 0.565], [0.988, 0.201, 0.743], [0.916, 0.253, 0.341], [0.665, 0.481, 0.173], [0.626, 0.527, 0.835], [0.807, 0.326, 0.170], [0.660, 0.338, 0.021], [0.679, 0.351, 0.524], [0.674, 0.186, 0.666], [0.476, 0.383, 0.322], [0.528, 0.340, 0.678], [0.741, 0.087, 0.838], [0.791, 0.996, 0.255], [0.787, 0.992, 0.074], [0.620, 0.100, 0.322], [0.508, 0.186, 0.164], [0.482, 0.110, 0.829], [0.331, 0.253, 0.843], [0.232, 0.234, 0.067], [0.212, 0.204, 0.246], [0.340, 0.087, 0.343], [0.235, 0.988, 0.566], [0.210, 0.002, 0.749]]}